Density functional theory data (r2SCAN) for a geometry-optimized NiSe2 structure.

The calculation puts the energy of formation from the pure elements at -320 meV per atom. The calculation puts the total moment at 0.000 μB per atom.

The structure belongs to space group Pbca (No. 61); the cell edges are 6.005, 6.026 and 6.048 Å and the angles 90.00°, 90.00° and 90.00°. The asymmetric unit holds Ni at (0.000, 0.000, 0.000) and Se at (0.113, 0.115, 0.385).